First-principles (GGA+U) data for a geometry-optimized Sr3UFe2O9 structure, as listed in the Materials Project.

Computed properties:
The value obtained for the formation energy is -2894 meV/atom.

POSCAR file:
```
Sr3UFe2O9
1.0
-2.876 4.119 8.727
2.876 -4.119 8.727
2.876 4.119 -8.727
Sr U Fe O
6 2 4 18
direct
0.782 0.500 0.282 Sr
0.379 0.149 0.230 Sr
0.081 0.851 0.230 Sr
0.218 0.500 0.718 Sr
0.919 0.149 0.770 Sr
0.621 0.851 0.770 Sr
0.669 0.669 0.000 U
0.331 0.331 0.000 U
0.500 0.000 0.500 Fe
0.163 0.663 0.500 Fe
0.837 0.337 0.500 Fe
0.000 0.000 0.000 Fe
0.747 0.000 0.747 O
0.411 0.664 0.747 O
0.083 0.336 0.747 O
0.585 0.842 0.257 O
0.245 0.493 0.248 O
0.917 0.168 0.251 O
0.415 0.672 0.257 O
0.083 0.333 0.251 O
0.755 0.002 0.248 O
0.253 0.000 0.253 O
0.917 0.664 0.253 O
0.589 0.336 0.253 O
0.415 0.158 0.743 O
0.083 0.832 0.749 O
0.755 0.507 0.752 O
0.585 0.328 0.743 O
0.245 0.998 0.752 O
0.917 0.667 0.749 O
```